Entry 1:
! LiFe2B2O6 | the Materials Project database | PBE with a Hubbard U | relaxed; values from VASP
&SYSTEM
  ibrav = 0, nat = 44, ntyp = 4
/
ATOMIC_SPECIES
Li 6.94 Li.upf
B 10.81 B.upf
Fe 55.84 Fe.upf
O 16.00 O.upf
CELL_PARAMETERS angstrom
5.256 0.000 0.000
0.097 9.138 0.000
0.181 0.221 10.113
ATOMIC_POSITIONS angstrom
Li 3.639 6.291 6.598
Li 0.994 1.577 1.573
Li 4.537 7.684 3.891
Li 1.932 3.209 8.858
B 4.550 1.748 8.941
B 3.572 3.041 1.273
B 3.665 9.244 6.319
B 4.535 4.670 3.892
B 0.999 7.656 1.365
B 1.073 4.760 6.445
B 1.926 6.253 8.801
B 1.884 9.144 3.750
Fe 1.908 9.262 8.883
Fe 4.452 1.578 3.859
Fe 1.942 6.063 3.818
Fe 1.044 7.798 6.406
Fe 4.536 4.827 8.949
Fe 0.968 4.654 1.343
Fe 3.701 3.191 6.366
Fe 3.642 9.145 1.272
O 4.114 1.325 5.966
O 1.068 1.116 3.485
O 1.746 8.763 0.930
O 3.239 9.066 3.369
O 2.357 9.170 6.769
O 1.882 3.687 6.672
O 0.554 4.598 3.313
O 1.303 8.005 4.340
O 4.403 8.078 6.183
O 4.913 7.787 1.542
O 1.146 7.353 8.396
O 1.644 6.463 1.657
O 3.864 2.865 8.415
O 4.379 4.102 0.907
O 4.191 1.850 1.673
O 1.639 5.960 5.991
O 3.898 5.878 4.011
O 2.196 3.123 1.189
O 3.947 3.506 4.388
O 4.958 4.730 6.709
O 0.655 1.753 9.028
O 1.281 5.153 9.410
O 3.248 6.229 8.549
O 3.772 0.689 9.414
! formation enthalpy at 0 K: -2409.9 kJ/mol of formula units
! E_tot: -78.238 eV/f.u.
! symmetry: P1, No. 1
! relative energy among the computed polymorphs: 0.0088 eV/atom



Entry 2:
! LiFe2B2O6 | the Materials Project database | PBE with a Hubbard U | relaxed; values from VASP
&SYSTEM
  ibrav = 0, nat = 44, ntyp = 4
/
ATOMIC_SPECIES
O 16.00 O.upf
B 10.81 B.upf
Fe 55.84 Fe.upf
Li 6.94 Li.upf
CELL_PARAMETERS angstrom
5.283 0.000 0.000
-0.044 9.070 0.000
-2.387 -4.485 10.128
ATOMIC_POSITIONS angstrom
O 1.708 2.620 3.363
O 3.224 2.907 5.697
O -0.897 1.798 8.457
O 3.708 0.381 1.448
O 0.553 -1.707 5.777
O -0.391 1.606 4.036
O -1.440 -2.704 6.646
O 2.283 6.265 4.285
O 1.741 -2.505 8.343
O 4.107 4.912 3.517
O 3.855 2.769 1.645
O 1.013 4.934 1.157
O 1.571 0.262 3.702
O 4.255 7.311 3.420
O 1.743 -0.200 8.974
O 1.374 4.289 6.367
O 1.311 1.947 6.807
O 2.406 2.857 9.268
O 1.208 7.259 1.742
O 3.090 6.095 0.776
O -0.871 4.131 9.089
O -1.268 -0.313 6.479
O -0.297 -1.472 9.164
O 0.485 1.499 0.872
B 4.453 1.538 1.303
B 1.046 -1.402 8.815
B 0.972 1.498 3.704
B 3.561 6.126 3.760
B -0.742 -1.549 6.304
B 1.765 6.064 1.233
B -1.538 2.965 8.906
B 1.970 3.079 6.290
Fe 0.940 -1.552 3.792
Fe 3.572 3.109 3.753
Fe 4.450 7.629 1.199
Fe 1.045 1.603 8.757
Fe -1.562 -3.127 8.774
Fe 1.779 3.104 1.214
Fe 1.887 6.077 6.373
Fe -0.637 1.532 6.239
Li 3.533 0.115 3.486
Li -1.636 -0.086 8.449
Li 1.854 -0.034 0.900
Li 4.421 4.558 1.051
! formation enthalpy at 0 K: -2407.2 kJ/mol of formula units
! E_tot: -78.210 eV/f.u.
! symmetry: P1, No. 1
! relative energy among the computed polymorphs: 0.0114 eV/atom



Entry 3:
! LiFe8B8O24 | the Materials Project database | PBE with a Hubbard U | relaxed; values from VASP
&SYSTEM
  ibrav = 0, nat = 41, ntyp = 4
/
ATOMIC_SPECIES
O 16.00 O.upf
B 10.81 B.upf
Fe 55.84 Fe.upf
Li 6.94 Li.upf
CELL_PARAMETERS angstrom
5.243 0.000 0.000
-0.199 9.101 0.000
-2.422 -4.448 10.140
ATOMIC_POSITIONS angstrom
O 1.638 5.642 6.319
O 1.733 0.583 0.696
O 3.518 3.541 3.740
O 4.269 5.110 0.772
O 2.234 0.098 6.733
O 1.185 3.368 5.756
O -1.519 -2.587 8.371
O 3.126 -0.001 3.278
O 2.061 5.944 1.130
O -1.235 -1.152 5.746
O 1.462 2.728 1.736
O -0.487 4.693 6.876
O -1.491 -0.335 9.313
O 4.799 1.340 1.305
O 3.963 7.272 1.756
O 0.416 4.543 3.265
O 0.906 4.084 9.408
O -0.835 1.055 6.616
O 0.550 -1.539 8.855
O 1.376 1.261 4.329
O 0.996 -1.012 3.697
O 1.093 1.972 8.335
O -2.146 3.240 8.814
O 3.937 5.808 4.354
B -0.889 4.600 3.778
B 0.802 4.594 6.318
B 3.559 0.024 6.346
B 1.735 3.107 8.848
B 3.407 6.092 1.234
B -0.777 -1.469 8.853
B 0.882 1.549 1.255
B 1.815 0.050 3.770
Fe 3.431 6.113 6.336
Fe -0.809 -1.451 3.759
Fe 0.984 1.506 6.323
Fe 1.704 3.119 3.765
Fe 0.819 4.540 1.193
Fe -0.912 4.749 8.873
Fe 3.531 -0.012 1.244
Fe 1.733 -0.050 8.868
Li -0.914 1.631 8.577
! formation enthalpy at 0 K: -8716.4 kJ/mol of formula units
! E_tot: -297.658 eV/f.u.
! symmetry: P1, No. 1
! relative energy among the computed polymorphs: 0.0058 eV/atom



Entry 4:
! LiFe2B2O6 | the Materials Project database | PBE with a Hubbard U | relaxed; values from VASP
&SYSTEM
  ibrav = 0, nat = 44, ntyp = 4
/
ATOMIC_SPECIES
Fe 55.84 Fe.upf
B 10.81 B.upf
O 16.00 O.upf
Li 6.94 Li.upf
CELL_PARAMETERS angstrom
5.216 0.000 0.000
0.073 9.140 0.000
0.198 0.204 10.175
ATOMIC_POSITIONS angstrom
Fe 4.485 1.455 3.792
Fe 3.607 3.255 6.391
Fe 1.885 9.224 8.972
Fe 4.537 4.750 9.044
Fe 3.522 0.055 1.281
Fe 1.024 7.782 6.406
Fe 0.982 4.627 1.402
Fe 1.869 6.217 3.778
B 4.427 4.602 3.891
B 1.871 0.089 3.910
B 1.916 6.181 8.796
B 3.537 3.022 1.256
B 3.594 0.130 6.429
B 0.952 7.674 1.342
B 1.001 4.744 6.348
B 4.503 1.783 8.936
O 1.558 6.524 1.870
O 3.754 0.742 9.430
O 4.236 1.306 6.105
O 0.646 1.740 8.724
O 0.606 4.633 3.620
O 3.837 3.388 4.229
O 1.381 8.026 4.402
O 2.215 0.144 6.745
O 1.258 7.323 8.366
O 1.673 5.927 5.963
O 3.796 2.979 8.596
O 4.298 4.120 0.813
O 1.636 3.530 6.243
O 4.345 8.072 6.440
O 4.825 7.784 1.300
O 1.215 1.273 4.097
O 1.219 5.088 9.317
O 3.272 6.091 8.648
O 2.174 3.083 1.202
O 3.692 5.747 3.878
O 4.202 1.874 1.670
O 1.773 8.665 0.826
O 3.182 9.157 3.302
O 4.921 4.834 6.835
Li 1.938 3.075 9.414
Li 3.626 6.305 6.664
Li 0.936 1.716 6.625
Li 1.836 3.097 4.074
! formation enthalpy at 0 K: -2400.9 kJ/mol of formula units
! E_tot: -78.145 eV/f.u.
! symmetry: P1, No. 1
! relative energy among the computed polymorphs: 0.0173 eV/atom



Entry 5:
! LiFe8B8O24 | the Materials Project database | PBE with a Hubbard U | relaxed; values from VASP
&SYSTEM
  ibrav = 0, nat = 41, ntyp = 4
/
ATOMIC_SPECIES
B 10.81 B.upf
Fe 55.84 Fe.upf
O 16.00 O.upf
Li 6.94 Li.upf
CELL_PARAMETERS angstrom
-4.953 1.264 1.071
-3.850 -3.091 -1.786
0.673 -10.967 16.946
ATOMIC_POSITIONS angstrom
B -6.816 -7.054 6.369
B -0.857 -8.581 11.069
B -7.285 -4.228 5.215
B -1.313 -5.760 9.909
B -1.654 -0.284 1.438
B -1.202 -3.071 2.601
B -6.926 -9.688 13.678
B -6.484 -12.524 14.825
Fe -2.635 -2.779 -0.177
Fe -0.978 -5.823 6.866
Fe -7.011 -4.239 2.167
Fe -0.637 -11.305 15.332
Fe -1.073 -8.522 14.139
Fe -6.713 -9.765 10.617
Fe -1.424 -3.056 5.682
Fe -7.148 -7.001 9.421
O -1.376 -4.953 5.022
O -1.341 -7.893 12.190
O -7.063 -2.424 2.829
O -3.726 -10.170 16.271
O -1.407 -1.116 0.325
O -1.430 -9.565 15.894
O -4.081 -4.607 7.752
O -1.668 -2.413 3.745
O -4.559 -2.550 0.153
O -6.819 -6.261 7.523
O -1.311 -6.553 8.751
O -4.047 -8.204 8.516
O -6.515 -11.666 15.912
O -6.448 -10.386 12.555
O -4.486 -7.447 11.924
O -6.754 -7.856 11.249
O -6.815 -4.939 4.097
O -1.019 -10.406 13.480
O -3.300 -10.824 12.816
O -1.760 -4.063 7.438
O -3.655 -5.344 4.360
O -6.366 -8.753 8.840
O -4.830 -1.801 3.347
O -2.928 -0.339 2.048
Li -4.633 -1.118 1.414
! formation enthalpy at 0 K: -8739.3 kJ/mol of formula units
! E_tot: -297.895 eV/f.u.
! symmetry: P1, No. 1
! relative energy among the computed polymorphs: 0.0000 eV/atom



Entry 6:
! LiFe2B2O6 | the Materials Project database | PBE with a Hubbard U | relaxed; values from VASP
&SYSTEM
  ibrav = 0, nat = 44, ntyp = 4
/
ATOMIC_SPECIES
O 16.00 O.upf
Fe 55.84 Fe.upf
B 10.81 B.upf
Li 6.94 Li.upf
CELL_PARAMETERS angstrom
-5.248 0.000 0.000
-0.067 -9.114 0.000
2.598 4.347 10.139
ATOMIC_POSITIONS angstrom
O -4.861 -7.720 1.412
O -0.527 -4.499 3.360
O -4.168 -1.895 1.684
O 0.934 0.991 6.201
O -1.619 -6.386 1.665
O -2.203 -0.118 6.664
O 0.363 -4.715 6.954
O -1.125 1.114 4.275
O -1.525 -3.497 6.114
O -1.790 -8.618 0.856
O 1.092 -1.388 6.017
O 1.601 -0.673 9.481
O -3.119 0.057 3.374
O -0.940 3.896 9.478
O 1.520 -2.909 8.594
O -3.812 -5.849 3.619
O -1.140 1.771 8.380
O -4.258 -4.218 0.976
O -1.458 -5.885 5.930
O 2.152 3.047 8.900
O -1.176 -1.265 3.920
O -0.472 -1.580 8.651
O -3.743 -3.506 4.202
O -2.175 -3.192 1.498
Fe 0.783 -1.571 3.864
Fe -1.754 -0.114 8.911
Fe -1.842 -6.063 3.870
Fe -0.928 -4.556 1.262
Fe -3.538 -0.098 1.328
Fe -3.483 -3.315 6.415
Fe -0.930 1.405 6.437
Fe 0.817 -4.700 8.914
B -0.978 -7.578 1.295
B -1.780 -0.054 3.852
B -3.569 -0.172 6.322
B 0.822 -4.615 3.743
B 0.850 -1.714 8.910
B -3.517 -3.091 1.371
B -0.884 -4.686 6.360
B -1.762 2.907 8.908
Li -0.850 -1.755 6.699
Li -3.640 -6.142 1.571
Li -1.770 -3.092 4.009
Li 0.907 1.464 4.165
! formation enthalpy at 0 K: -2405.5 kJ/mol of formula units
! E_tot: -78.193 eV/f.u.
! symmetry: P1, No. 1
! relative energy among the computed polymorphs: 0.0130 eV/atom



Entry 7:
! LiFe2B2O6 | the Materials Project database | PBE with a Hubbard U | relaxed; values from VASP
&SYSTEM
  ibrav = 0, nat = 44, ntyp = 4
/
ATOMIC_SPECIES
B 10.81 B.upf
O 16.00 O.upf
Fe 55.84 Fe.upf
Li 6.94 Li.upf
CELL_PARAMETERS angstrom
-5.290 0.000 0.000
-0.031 -9.056 0.000
2.512 4.461 10.196
ATOMIC_POSITIONS angstrom
B -0.983 -1.604 8.991
B 1.637 2.977 8.951
B -1.846 -6.048 6.414
B -0.906 1.600 3.844
B -4.456 -7.654 1.322
B -3.569 -3.132 3.800
B -1.822 -2.907 1.283
B 0.783 -1.627 6.444
O -4.256 -2.052 3.234
O -1.271 -4.084 1.626
O -3.775 -6.596 1.903
O 0.306 -1.794 9.482
O 0.995 -4.831 8.835
O -3.755 0.188 1.134
O -1.198 1.872 6.930
O 0.934 1.843 8.628
O -1.148 -1.690 1.529
O -1.691 -2.786 8.664
O -1.639 -6.256 3.583
O -2.305 2.897 9.357
O -2.260 -3.013 4.209
O -3.105 -2.797 0.702
O 0.367 1.718 4.389
O -4.257 -4.327 3.982
O -1.457 0.414 3.528
O -3.193 -6.098 6.006
O -1.520 -0.380 8.880
O 1.363 -2.833 6.994
O -0.485 -7.540 0.866
O -0.473 -1.756 5.898
O -1.146 -4.865 6.308
O 1.512 -0.505 6.470
Fe -4.496 -1.613 1.339
Fe -0.984 1.414 8.851
Fe -0.897 -1.430 3.916
Fe -3.569 -6.122 3.904
Fe 1.684 -3.006 8.971
Fe -1.834 -5.918 1.339
Fe 0.844 1.293 6.450
Fe -1.951 -3.020 6.375
Li 0.742 -4.638 6.567
Li -0.927 -4.476 3.931
Li -1.853 0.135 1.678
Li -0.971 -4.580 9.230
! formation enthalpy at 0 K: -2398.2 kJ/mol of formula units
! E_tot: -78.117 eV/f.u.
! symmetry: P1, No. 1
! relative energy among the computed polymorphs: 0.0199 eV/atom



Entry 8:
! LiFe2B2O6 | the Materials Project database | PBE with a Hubbard U | relaxed; values from VASP
&SYSTEM
  ibrav = 0, nat = 44, ntyp = 4
/
ATOMIC_SPECIES
B 10.81 B.upf
Fe 55.84 Fe.upf
O 16.00 O.upf
Li 6.94 Li.upf
CELL_PARAMETERS angstrom
1.212 -2.669 4.358
7.751 4.708 0.867
-9.152 5.908 3.060
ATOMIC_POSITIONS angstrom
B 1.908 5.358 1.804
B 6.026 4.329 2.192
B 2.792 0.699 3.949
B -2.118 2.549 6.400
B -1.345 1.684 3.555
B -3.083 7.376 4.439
B 1.203 6.287 4.759
B -6.301 3.654 6.120
Fe -3.913 3.255 4.095
Fe 0.441 4.177 6.757
Fe -3.689 5.148 6.388
Fe -0.487 8.821 4.676
Fe 3.422 2.798 1.918
Fe -0.709 3.781 1.618
Fe 0.263 -0.844 3.661
Fe 3.716 4.874 4.233
O -4.365 7.573 3.892
O 7.320 4.131 2.685
O 2.317 4.356 2.723
O -1.997 7.961 3.813
O -2.947 6.683 5.600
O 0.434 5.217 5.067
O -2.016 5.230 2.396
O 6.989 2.499 5.496
O -2.670 3.632 5.683
O 1.816 2.733 5.743
O 0.716 7.334 3.931
O -4.149 4.128 2.320
O 4.105 0.649 4.469
O 2.531 6.359 5.198
O 1.785 -0.029 4.554
O -2.667 1.710 3.126
O -7.609 3.892 5.653
O 4.077 3.577 5.712
O -0.453 2.638 3.205
O -7.305 5.359 2.705
O 2.541 1.499 2.884
O -5.267 4.374 5.571
O -0.935 0.613 4.408
O 4.991 3.631 2.816
Li -4.815 1.326 6.322
Li -3.379 2.439 1.375
Li 5.347 2.322 4.327
Li 0.996 3.548 4.048
! formation enthalpy at 0 K: -2404.3 kJ/mol of formula units
! E_tot: -78.180 eV/f.u.
! symmetry: P1, No. 1
! relative energy among the computed polymorphs: 0.0141 eV/atom



Entry 9:
! LiFe2B2O6 | the Materials Project database | PBE with a Hubbard U | relaxed; values from VASP
&SYSTEM
  ibrav = 0, nat = 44, ntyp = 4
/
ATOMIC_SPECIES
O 16.00 O.upf
B 10.81 B.upf
Fe 55.84 Fe.upf
Li 6.94 Li.upf
CELL_PARAMETERS angstrom
-4.969 7.233 -2.177
-3.645 -3.156 -2.166
-8.128 -3.519 6.861
ATOMIC_POSITIONS angstrom
O -5.922 0.217 -2.122
O -6.186 -3.533 0.472
O -10.428 -0.874 3.856
O -5.711 -0.340 1.236
O -11.152 -4.161 3.611
O -8.025 -0.465 0.618
O -6.329 -2.481 3.165
O -14.714 1.204 1.947
O -8.430 -3.237 5.720
O -7.361 3.101 -2.119
O -8.098 0.444 3.311
O -12.782 -1.216 3.745
O -3.043 1.160 -0.369
O -10.625 -0.612 1.029
O -6.823 1.553 0.225
O -12.497 2.637 1.209
O -9.935 1.742 -1.067
O -11.921 1.022 3.726
O -8.659 -2.684 2.523
O -4.597 3.023 -0.366
O -6.430 5.341 -2.090
O -9.121 2.330 2.179
O -8.603 4.689 0.434
O -3.853 -2.269 -0.215
B -11.113 2.324 -1.481
B -7.493 -3.256 3.012
B -11.726 -0.323 3.750
B -10.996 -5.520 3.781
B -8.105 1.792 2.904
B -6.823 0.217 0.687
B -7.532 4.475 -2.216
B -3.307 2.483 -0.205
Fe -13.307 2.079 3.020
Fe -9.141 -0.848 2.232
Fe -5.144 -2.128 1.386
Fe -9.755 4.183 2.344
Fe -1.709 0.147 0.659
Fe -12.767 -3.135 3.049
Fe -5.860 2.052 -1.542
Fe -9.523 -0.182 -0.740
Li -6.504 -0.579 3.942
Li -10.277 -2.742 4.722
Li -8.635 2.542 0.231
Li -5.033 4.954 -0.624
! formation enthalpy at 0 K: -2404.5 kJ/mol of formula units
! E_tot: -78.183 eV/f.u.
! symmetry: Pc, No. 7
! relative energy among the computed polymorphs: 0.0139 eV/atom



What is the formula in the third record? LiFe8B8O24